No. 1
# Cr8O21 | the Materials Project database | PBE with a Hubbard U | relaxed
data_Cr8O21
_chemical_formula_sum 'Cr8 O21'
_cell_length_a 5.5226
_cell_length_b 6.6862
_cell_length_c 12.2584
_cell_angle_alpha 105.07
_cell_angle_beta 89.64
_cell_angle_gamma 101.88
_symmetry_space_group_name_H-M 'P 1'
_symmetry_Int_Tables_number 1
_symmetry_space_group_name_Hall 'P 1'
loop_
_atom_site_label
_atom_site_type_symbol
_atom_site_fract_x
_atom_site_fract_y
_atom_site_fract_z
Cr1 Cr 0.7069 0.3345 0.1050
Cr2 Cr 0.6523 0.1271 0.7460
Cr3 Cr 0.2705 0.2642 0.4734
Cr4 Cr 0.1518 0.1439 0.9316
Cr5 Cr 0.3477 0.8729 0.2540
Cr6 Cr 0.7295 0.7358 0.5266
Cr7 Cr 0.8482 0.8561 0.0684
Cr8 Cr 0.2931 0.6655 0.8950
O1 O 0.9118 0.1604 0.0574
O2 O 0.5000 0.5000 0.5000
O3 O 0.2698 0.6311 0.2558
O4 O 0.8025 0.5544 0.0628
O5 O 0.5754 0.7874 0.9523
O6 O 0.6962 0.3846 0.2388
O7 O 0.0378 0.2884 0.4061
O8 O 0.7302 0.3689 0.7442
O9 O 0.0882 0.8396 0.9426
O10 O 0.3853 0.0886 0.8098
O11 O 0.6147 0.9114 0.1902
O12 O 0.3824 0.0430 0.3941
O13 O 0.3038 0.6154 0.7612
O14 O 0.4246 0.2126 0.0477
O15 O 0.9622 0.7116 0.5939
O16 O 0.8692 0.0685 0.8179
O17 O 0.1975 0.4456 0.9372
O18 O 0.8183 0.7834 0.4097
O19 O 0.6176 0.9570 0.6059
O20 O 0.1817 0.2166 0.5903
O21 O 0.1308 0.9315 0.1821
# Energy relative to the lowest polymorph listed for this composition in meV per atom: 0
# Energy in eV/atom: -6.883
# Magnetization in Bohr magnetons per cell: 5.999
# Calculated volume in Å³ per atom: 14.73
# Symmetry: No. 2
# ΔH_f (0 K) in eV per atom: -1.686

No. 2
# Cr3O4 | the Materials Project database | PBE with a Hubbard U | relaxed
data_Cr3O4
_chemical_formula_sum 'Cr6 O8'
_cell_length_a 5.8487
_cell_length_b 6.1391
_cell_length_c 5.8486
_cell_angle_alpha 118.02
_cell_angle_beta 90.99
_cell_angle_gamma 117.80
_symmetry_space_group_name_H-M 'P 1'
_symmetry_Int_Tables_number 1
_symmetry_space_group_name_Hall 'P 1'
loop_
_atom_site_label
_atom_site_type_symbol
_atom_site_fract_x
_atom_site_fract_y
_atom_site_fract_z
O1 O 0.2788 0.5481 0.2837
O2 O 0.7137 0.4465 0.2348
O3 O 0.2863 0.5535 0.7654
O4 O 0.7643 0.0480 0.2693
O5 O 0.2357 0.9519 0.7308
O6 O 0.7118 0.9465 0.7328
O7 O 0.2882 0.0535 0.2672
O8 O 0.7212 0.4519 0.7163
Cr1 Cr 0.0001 0.0000 0.0001
Cr2 Cr 0.5001 0.9998 0.4997
Cr3 Cr 0.5000 0.5001 0.0000
Cr4 Cr 0.9999 0.4999 0.5000
Cr5 Cr 0.5000 0.0001 0.0001
Cr6 Cr 0.4998 0.5001 0.5000
# Energy in eV/atom: -7.886
# Magnetization in Bohr magnetons per cell: 0.000
# Calculated volume in Å³ per atom: 11.16
# Symmetry: No. 15
# ΔH_f (0 K) in eV per atom: -2.171

No. 3
# Cr8O21 | the Materials Project database | PBE with a Hubbard U | relaxed
data_Cr8O21
_chemical_formula_sum 'Cr8 O21'
_cell_length_a 5.4583
_cell_length_b 6.7484
_cell_length_c 12.8894
_cell_angle_alpha 105.03
_cell_angle_beta 87.48
_cell_angle_gamma 102.92
_symmetry_space_group_name_H-M 'P 1'
_symmetry_Int_Tables_number 1
_symmetry_space_group_name_Hall 'P 1'
loop_
_atom_site_label
_atom_site_type_symbol
_atom_site_fract_x
_atom_site_fract_y
_atom_site_fract_z
Cr1 Cr 0.6534 0.3622 0.7489
Cr2 Cr 0.3466 0.6378 0.2511
Cr3 Cr 0.2653 0.7944 0.4721
Cr4 Cr 0.1412 0.2140 0.9262
Cr5 Cr 0.3002 0.7657 0.9036
Cr6 Cr 0.6998 0.2343 0.0964
Cr7 Cr 0.7347 0.2056 0.5279
Cr8 Cr 0.8588 0.7860 0.0738
O1 O 0.1684 0.5112 0.9235
O2 O 0.8109 0.3822 0.4190
O3 O 0.3689 0.2897 0.8033
O4 O 0.3747 0.6789 0.3820
O5 O 0.2392 0.3951 0.2589
O6 O 0.8467 0.2237 0.8258
O7 O 0.1533 0.7763 0.1742
O8 O 0.0229 0.8807 0.4216
O9 O 0.3660 0.8686 0.7802
O10 O 0.1890 0.6178 0.5810
O11 O 0.9087 0.1025 0.0553
O12 O 0.6253 0.3211 0.6180
O13 O 0.6340 0.1314 0.2198
O14 O 0.7608 0.6049 0.7411
O15 O 0.8316 0.4888 0.0765
O16 O 0.0913 0.8975 0.9447
O17 O 0.5630 0.7961 0.9767
O18 O 0.4370 0.2039 0.0233
O19 O 0.5000 0.0000 0.5000
O20 O 0.6311 0.7103 0.1967
O21 O 0.9771 0.1193 0.5784
# Energy relative to the lowest polymorph listed for this composition in meV per atom: 997
# Energy in eV/atom: -5.885
# Magnetization in Bohr magnetons per cell: 0.297
# Calculated volume in Å³ per atom: 15.41
# Symmetry: No. 2
# ΔH_f (0 K) in eV per atom: -0.688

No. 4
# Cr3O8 | the Materials Project database | PBE with a Hubbard U | relaxed
data_Cr3O8
_chemical_formula_sum 'Cr3 O8'
_cell_length_a 5.2605
_cell_length_b 5.2605
_cell_length_c 6.8815
_cell_angle_alpha 88.32
_cell_angle_beta 88.32
_cell_angle_gamma 62.37
_symmetry_space_group_name_H-M 'P 1'
_symmetry_Int_Tables_number 1
_symmetry_space_group_name_Hall 'P 1'
loop_
_atom_site_label
_atom_site_type_symbol
_atom_site_fract_x
_atom_site_fract_y
_atom_site_fract_z
O1 O 0.3100 0.3100 0.0524
O2 O 0.7863 0.7863 0.5736
O3 O 0.7215 0.2119 0.3098
O4 O 0.2119 0.7215 0.3098
O5 O 0.6900 0.6900 0.9476
O6 O 0.2784 0.7881 0.6902
O7 O 0.2137 0.2137 0.4266
O8 O 0.7881 0.2784 0.6902
Cr1 Cr 0.0001 0.0001 0.5000
Cr2 Cr 0.3602 0.3601 0.2718
Cr3 Cr 0.6400 0.6400 0.7281
# Energy relative to the lowest polymorph listed for this composition in meV per atom: 3
# Energy in eV/atom: -6.836
# Magnetization in Bohr magnetons per cell: 2.000
# Calculated volume in Å³ per atom: 15.33
# Symmetry: No. 12
# ΔH_f (0 K) in eV per atom: -1.650

No. 5
# Cr19O48 | the Materials Project database | PBE with a Hubbard U | relaxed
data_Cr19O48
_chemical_formula_sum 'Cr19 O48'
_cell_length_a 4.9992
_cell_length_b 10.3560
_cell_length_c 17.3047
_cell_angle_alpha 90.24
_cell_angle_beta 90.44
_cell_angle_gamma 90.14
_symmetry_space_group_name_H-M 'P 1'
_symmetry_Int_Tables_number 1
_symmetry_space_group_name_Hall 'P 1'
loop_
_atom_site_label
_atom_site_type_symbol
_atom_site_fract_x
_atom_site_fract_y
_atom_site_fract_z
O1 O 0.9251 0.7493 0.0076
O2 O 0.5952 0.6133 0.2912
O3 O 0.3620 0.3799 0.7078
O4 O 0.6732 0.7558 0.6507
O5 O 0.4426 0.1040 0.8772
O6 O 0.0686 0.5015 0.0762
O7 O 0.1241 0.6133 0.6974
O8 O 0.1086 0.8807 0.2091
O9 O 0.1154 0.1146 0.4675
O10 O 0.1294 0.7516 0.8537
O11 O 0.9182 0.3829 0.7951
O12 O 0.4623 0.4127 0.8669
O13 O 0.8687 0.3846 0.2943
O14 O 0.8777 0.2423 0.1476
O15 O 0.0776 0.0000 0.0718
O16 O 0.6361 0.8816 0.2897
O17 O 0.0504 0.3701 0.4680
O18 O 0.5733 0.0054 0.4219
O19 O 0.9471 0.8696 0.5326
O20 O 0.4011 0.8864 0.9679
O21 O 0.0630 0.8949 0.3857
O22 O 0.0522 0.2318 0.9976
O23 O 0.1149 0.6249 0.2087
O24 O 0.6045 0.4817 0.4252
O25 O 0.4046 0.1065 0.7121
O26 O 0.3911 0.9828 0.5758
O27 O 0.5560 0.8932 0.1247
O28 O 0.9149 0.9900 0.9291
O29 O 0.5825 0.1087 0.0349
O30 O 0.6241 0.3768 0.0344
O31 O 0.4291 0.5046 0.5776
O32 O 0.6878 0.6270 0.7918
O33 O 0.8863 0.6150 0.5326
O34 O 0.1191 0.8782 0.7070
O35 O 0.8997 0.1190 0.7953
O36 O 0.3225 0.2553 0.3498
O37 O 0.5573 0.5971 0.1218
O38 O 0.9102 0.5262 0.9267
O39 O 0.8794 0.1106 0.3013
O40 O 0.3158 0.3830 0.1985
O41 O 0.4170 0.6355 0.9684
O42 O 0.9334 0.3954 0.6142
O43 O 0.3275 0.1140 0.1991
O44 O 0.6732 0.8839 0.8003
O45 O 0.0471 0.6068 0.3698
O46 O 0.4575 0.7696 0.4992
O47 O 0.5426 0.2706 0.5004
O48 O 0.9546 0.1041 0.6324
Cr1 Cr 0.0994 0.2532 0.2532
Cr2 Cr 0.2057 0.7491 0.9455
Cr3 Cr 0.7444 0.9263 0.0282
Cr4 Cr 0.2085 0.0210 0.6582
Cr5 Cr 0.7201 0.4402 0.5219
Cr6 Cr 0.2461 0.0682 0.9730
Cr7 Cr 0.2791 0.9719 0.1558
Cr8 Cr 0.7918 0.9753 0.3475
Cr9 Cr 0.7346 0.7535 0.5535
Cr10 Cr 0.7387 0.4809 0.8439
Cr11 Cr 0.2779 0.9405 0.4755
Cr12 Cr 0.2639 0.2543 0.4455
Cr13 Cr 0.7888 0.2440 0.0561
Cr14 Cr 0.7919 0.5242 0.3424
Cr15 Cr 0.2696 0.5274 0.1544
Cr16 Cr 0.7184 0.0262 0.8445
Cr17 Cr 0.8942 0.7482 0.7412
Cr18 Cr 0.7505 0.5640 0.0261
Cr19 Cr 0.2067 0.4738 0.6515
# Energy relative to the lowest polymorph listed for this composition in meV per atom: 13
# Energy in eV/atom: -6.892
# Magnetization in Bohr magnetons per cell: 18.000
# Calculated volume in Å³ per atom: 13.37
# Symmetry: No. 1
# ΔH_f (0 K) in eV per atom: -1.669

No. 6
# Cr2O3 | the Materials Project database | PBE with a Hubbard U | relaxed
data_Cr2O3
_chemical_formula_sum 'Cr16 O24'
_cell_length_a 8.1726
_cell_length_b 8.1726
_cell_length_c 8.1726
_cell_angle_alpha 109.47
_cell_angle_beta 109.47
_cell_angle_gamma 109.47
_symmetry_space_group_name_H-M 'P 1'
_symmetry_Int_Tables_number 1
_symmetry_space_group_name_Hall 'P 1'
loop_
_atom_site_label
_atom_site_type_symbol
_atom_site_fract_x
_atom_site_fract_y
_atom_site_fract_z
O1 O 0.2679 0.9945 0.5415
O2 O 0.7733 0.5470 0.5055
O3 O 0.0055 0.4585 0.7321
O4 O 0.2264 0.2733 0.7679
O5 O 0.5470 0.5055 0.7733
O6 O 0.2321 0.7736 0.7267
O7 O 0.9585 0.9530 0.7264
O8 O 0.7267 0.2321 0.7736
O9 O 0.7736 0.7267 0.2321
O10 O 0.2736 0.0415 0.0470
O11 O 0.0415 0.0470 0.2736
O12 O 0.4585 0.7321 0.0055
O13 O 0.7679 0.2264 0.2733
O14 O 0.4945 0.2267 0.4530
O15 O 0.2267 0.4530 0.4945
O16 O 0.7321 0.0055 0.4585
O17 O 0.9945 0.5415 0.2679
O18 O 0.7264 0.9585 0.9530
O19 O 0.4530 0.4945 0.2267
O20 O 0.2733 0.7679 0.2264
O21 O 0.5415 0.2679 0.9945
O22 O 0.0470 0.2736 0.0415
O23 O 0.9530 0.7264 0.9585
O24 O 0.5055 0.7733 0.5470
Cr1 Cr 0.4616 0.7116 0.7500
Cr2 Cr 0.5000 0.5000 0.0000
Cr3 Cr 0.2500 0.5384 0.2884
Cr4 Cr 0.7500 0.9616 0.2116
Cr5 Cr 0.9616 0.2116 0.7500
Cr6 Cr 0.2500 0.0384 0.7884
Cr7 Cr 0.7116 0.7500 0.4616
Cr8 Cr 0.2884 0.2500 0.5384
Cr9 Cr 0.0000 0.5000 0.5000
Cr10 Cr 0.0384 0.7884 0.2500
Cr11 Cr 0.7500 0.4616 0.7116
Cr12 Cr 0.5000 0.0000 0.5000
Cr13 Cr 0.2116 0.7500 0.9616
Cr14 Cr 0.7884 0.2500 0.0384
Cr15 Cr 0.0000 0.0000 0.0000
Cr16 Cr 0.5384 0.2884 0.2500
# Energy in eV/atom: -7.943
# Calculated volume in Å³ per atom: 10.50
# Symmetry: No. 206
# ΔH_f (0 K) in eV per atom: -2.325